A plane-wave DFT calculation with GGA-PBE was carried out for crystalline Dy4Ga21Ni10 at its relaxed geometry.

Geometry as POSCAR:
```
Dy4Ga21Ni10
1.0
2.0403 10.4878 0.0000
-2.0403 10.4878 0.0000
0.0000 8.9150 12.7172
Dy Ga Ni
4 21 10
direct
0.7706 0.7706 0.3236
0.2294 0.2294 0.6764
0.1205 0.1205 0.1663
0.8795 0.8795 0.8337
0.3987 0.3987 0.4972
0.6013 0.6013 0.5028
0.3860 0.3860 0.2047
0.6140 0.6140 0.7953
0.2481 0.2481 0.2059
0.7519 0.7519 0.7941
0.0066 0.0066 0.4091
0.9934 0.9934 0.5909
0.6271 0.6271 0.3056
0.3729 0.3729 0.6944
0.9356 0.9356 0.2949
0.0644 0.0644 0.7051
0.5400 0.5400 0.1315
0.4600 0.4600 0.8685
0.8819 0.8819 0.0551
0.1181 0.1181 0.9449
0.5000 0.5000 0.0000
0.2975 0.2975 0.0032
0.7025 0.7025 0.9968
0.7999 0.7999 0.5016
0.2001 0.2001 0.4984
0.9757 0.9757 0.1059
0.0243 0.0243 0.8941
0.3471 0.3471 0.3893
0.6529 0.6529 0.6107
0.7494 0.7494 0.1154
0.2506 0.2506 0.8846
0.1322 0.1322 0.3974
0.8678 0.8678 0.6026
0.5027 0.5027 0.3144
0.4973 0.4973 0.6856
```

## Properties
Total magnetic moment in μB/cell: 0.00
DFT formation energy in eV per formula unit: -17.87



A plane-wave DFT calculation with GGA-PBE was carried out for crystalline Dy3GaNiS7 at its relaxed geometry.

Geometry as POSCAR:
```
Dy3GaNiS7
1.0
-6.2151 -1.9857 -6.9698
1.9449 -6.5480 6.6701
-4.5968 2.1780 3.4785
Dy Ga Ni S
6 2 2 14
direct
0.1562 0.7812 0.8211
0.2188 0.3749 0.8211
0.6251 0.8438 0.8211
0.8438 0.2188 0.3211
0.7812 0.6251 0.3211
0.3749 0.1562 0.3211
0.6667 0.3333 0.8920
0.3333 0.6667 0.3920
0.0000 0.0000 0.4975
0.0000 0.0000 0.9975
0.4343 0.9143 0.5524
0.0857 0.5200 0.5524
0.4800 0.5657 0.5524
0.5657 0.0857 0.0524
0.9143 0.4800 0.0524
0.5200 0.4343 0.0524
0.6667 0.3333 0.5263
0.3333 0.6667 0.0263
0.8689 0.7682 0.7323
0.2318 0.1007 0.7323
0.8993 0.1311 0.7323
0.1311 0.2318 0.2323
0.7682 0.8993 0.2323
0.1007 0.8689 0.2323
```

## Properties
Total magnetic moment in μB/cell: 4.00
DFT formation energy in eV per formula unit: -21.07



A plane-wave DFT calculation with GGA-PBE was carried out for crystalline Dy3GaNiSe7 at its relaxed geometry.

Geometry as POSCAR:
```
Dy3GaNiSe7
1.0
9.9863 0.0000 0.0000
-4.9931 8.6484 0.0000
0.0000 0.0000 6.4979
Dy Ga Ni Se
6 2 2 14
direct
0.1596 0.3741 0.8218
0.2145 0.8404 0.8218
0.6259 0.7855 0.8218
0.8404 0.6259 0.3218
0.7855 0.1596 0.3218
0.3741 0.2145 0.3218
0.6667 0.3333 0.8964
0.3333 0.6667 0.3964
0.0000 0.0000 0.4968
0.0000 0.0000 0.9968
0.4383 0.5200 0.5553
0.0818 0.5617 0.5553
0.4800 0.9182 0.5553
0.5617 0.4800 0.0553
0.9182 0.4383 0.0553
0.5200 0.0818 0.0553
0.6667 0.3333 0.5262
0.3333 0.6667 0.0262
0.8693 0.1041 0.7312
0.2348 0.1307 0.7312
0.8959 0.7652 0.7312
0.1307 0.8959 0.2312
0.7652 0.8693 0.2312
0.1041 0.2348 0.2312
```

## Properties
Total magnetic moment in μB/cell: 3.98
DFT formation energy in eV per formula unit: -18.73



A plane-wave DFT calculation with GGA-PBE was carried out for crystalline DyGaO3 at its relaxed geometry.

Geometry as POSCAR:
```
DyGaO3
1.0
5.3072 0.0000 0.0000
0.0000 5.5972 0.0000
0.0000 0.0000 7.6387
Dy Ga O
4 4 12
direct
0.4816 0.0677 0.2500
0.0184 0.5677 0.2500
0.5184 0.9323 0.7500
0.9816 0.4323 0.7500
0.5000 0.5000 0.5000
0.0000 0.0000 0.0000
0.5000 0.5000 0.0000
0.0000 0.0000 0.5000
0.3904 0.5374 0.7500
0.1096 0.0374 0.7500
0.6096 0.4626 0.2500
0.8904 0.9626 0.2500
0.8057 0.6955 0.5561
0.6943 0.1955 0.9439
0.1943 0.3045 0.0561
0.3057 0.8045 0.4439
0.1943 0.3045 0.4439
0.3057 0.8045 0.0561
0.8057 0.6955 0.9439
0.6943 0.1955 0.5561
```

## Properties
Total magnetic moment in μB/cell: 0.00
DFT formation energy in eV per formula unit: -15.67



A plane-wave DFT calculation with GGA-PBE was carried out for crystalline DyGaO3 at its relaxed geometry.

Geometry as POSCAR:
```
DyGaO3
1.0
3.0605 -5.3009 0.0000
3.0605 5.3009 0.0000
0.0000 0.0000 11.7204
Dy Ga O
6 6 18
direct
0.3333 0.6667 0.2295
0.0000 0.0000 0.2713
0.0000 0.0000 0.7713
0.3333 0.6667 0.7295
0.6667 0.3333 0.7295
0.6667 0.3333 0.2295
0.0000 0.6657 0.4967
0.0000 0.3343 0.9967
0.3343 0.3343 0.4967
0.6657 0.6657 0.9967
0.3343 0.0000 0.9967
0.6657 0.0000 0.4967
0.0000 0.6932 0.6594
0.0000 0.6407 0.3352
0.0000 0.3593 0.8352
0.0000 0.3068 0.1594
0.3333 0.6667 0.0165
0.3333 0.6667 0.5165
0.0000 0.0000 0.4738
0.0000 0.0000 0.9738
0.3068 0.3068 0.6594
0.3593 0.3593 0.3352
0.3068 0.0000 0.1594
0.6407 0.6407 0.8352
0.6932 0.6932 0.1594
0.3593 0.0000 0.8352
0.6667 0.3333 0.5165
0.6667 0.3333 0.0165
0.6407 0.0000 0.3352
0.6932 0.0000 0.6594
```

## Properties
Total magnetic moment in μB/cell: 0.00
DFT formation energy in eV per formula unit: -15.79



A plane-wave DFT calculation with GGA-PBE was carried out for crystalline Dy4Ga12Pd at its relaxed geometry.

Geometry as POSCAR:
```
Dy4Ga12Pd
1.0
-4.3285 4.3285 4.3285
4.3285 -4.3285 4.3285
4.3285 4.3285 -4.3285
Dy Ga Pd
4 12 1
direct
0.0000 0.0000 0.5000
0.0000 0.5000 0.0000
0.5000 0.0000 0.0000
0.5000 0.5000 0.5000
0.7500 0.2500 0.5000
0.7500 0.5000 0.2500
0.5000 0.2500 0.7500
0.2500 0.5000 0.7500
0.2500 0.7500 0.5000
0.5000 0.7500 0.2500
0.7029 0.7029 0.0000
0.2971 0.0000 0.2971
0.0000 0.2971 0.2971
0.2971 0.2971 0.0000
0.7029 0.0000 0.7029
0.0000 0.7029 0.7029
0.0000 0.0000 0.0000
```

## Properties
DFT formation energy in eV per formula unit: -10.40



A plane-wave DFT calculation with GGA-PBE was carried out for crystalline Dy3Ga9Pd2 at its relaxed geometry.

Geometry as POSCAR:
```
Dy3Ga9Pd2
1.0
-1.8901 -2.2824 -3.1294
1.0802 4.3933 -6.8245
6.1538 -3.2371 -4.3237
Dy Ga Pd
3 9 2
direct
0.5000 0.5000 0.5000
0.1992 0.8008 0.8008
0.8008 0.1992 0.1992
0.3616 0.3560 0.9209
0.6384 0.6440 0.0791
0.3616 0.9209 0.3560
0.6384 0.0791 0.6440
0.1558 0.4777 0.2107
0.8442 0.5223 0.7893
0.1558 0.2107 0.4777
0.8442 0.7893 0.5223
0.5000 0.0000 0.0000
0.0000 0.8167 0.1833
0.0000 0.1833 0.8167
```

## Properties
Total magnetic moment in μB/cell: 0.00
DFT formation energy in eV per formula unit: -9.18



A plane-wave DFT calculation with GGA-PBE was carried out for crystalline Dy3Ga9Pt2 at its relaxed geometry.

Geometry as POSCAR:
```
Dy3Ga9Pt2
1.0
5.0304 3.2228 5.6150
3.2883 5.9218 -4.6194
-6.3881 -3.0494 4.1367
Dy Ga Pt
3 9 2
direct
0.0000 0.0000 0.0000
0.3083 0.3083 0.0000
0.6917 0.6917 0.0000
0.5000 0.0000 0.5000
0.9714 0.3420 0.6294
0.0286 0.6580 0.3706
0.7126 0.3420 0.3706
0.2874 0.6580 0.6294
0.8544 0.1370 0.7175
0.1456 0.8630 0.2825
0.4195 0.1370 0.2825
0.5805 0.8630 0.7175
0.3016 0.5000 0.8016
0.6984 0.5000 0.1984
```

## Properties
Total magnetic moment in μB/cell: 0.00
DFT formation energy in eV per formula unit: -9.47



A plane-wave DFT calculation with GGA-PBE was carried out for crystalline Dy4Ga12Pt at its relaxed geometry.

Geometry as POSCAR:
```
Dy4Ga12Pt
1.0
-4.3187 4.3187 4.3187
4.3187 -4.3187 4.3187
4.3187 4.3187 -4.3187
Dy Ga Pt
4 12 1
direct
0.5000 0.5000 0.5000
0.0000 0.0000 0.5000
0.0000 0.5000 0.0000
0.5000 0.0000 0.0000
0.0000 0.2969 0.2969
0.0000 0.7031 0.7031
0.2969 0.0000 0.2969
0.7031 0.0000 0.7031
0.2969 0.2969 0.0000
0.7031 0.7031 0.0000
0.5000 0.7500 0.2500
0.5000 0.2500 0.7500
0.2500 0.5000 0.7500
0.7500 0.5000 0.2500
0.7500 0.2500 0.5000
0.2500 0.7500 0.5000
0.0000 0.0000 0.0000
```

## Properties
DFT formation energy in eV per formula unit: -10.69



A plane-wave DFT calculation with GGA-PBE was carried out for crystalline Dy2Ga9Rh3 at its relaxed geometry.

Geometry as POSCAR:
```
Dy2Ga9Rh3
1.0
3.7885 -6.5464 0.0000
3.7885 6.5464 0.0000
0.0000 0.0000 9.5358
Dy Ga Rh
4 18 6
direct
0.9968 0.6677 0.2500
0.0032 0.3323 0.7500
0.6677 0.9968 0.2500
0.3323 0.0032 0.7500
0.1247 0.1247 0.2500
0.8753 0.8753 0.7500
0.0004 0.3340 0.0775
0.9996 0.6660 0.9225
0.9996 0.6660 0.5775
0.3340 0.0004 0.4225
0.0004 0.3340 0.4225
0.6660 0.9996 0.5775
0.6660 0.9996 0.9225
0.3340 0.0004 0.0775
0.3338 0.3338 0.5619
0.6662 0.6662 0.4381
0.6662 0.6662 0.0619
0.3338 0.3338 0.9381
0.3374 0.5469 0.2500
0.6626 0.4531 0.7500
0.5469 0.3374 0.2500
0.4531 0.6626 0.7500
0.6716 0.3284 0.0000
0.3284 0.6716 0.0000
0.3284 0.6716 0.5000
0.6716 0.3284 0.5000
0.0000 0.0000 0.0000
0.0000 0.0000 0.5000
```

## Properties
DFT formation energy in eV per formula unit: -9.94



A plane-wave DFT calculation with GGA-PBE was carried out for crystalline Dy3Ga15Ru4 at its relaxed geometry.

Geometry as POSCAR:
```
Dy3Ga15Ru4
1.0
-0.4752 7.3688 -4.8087
-6.3040 3.7165 6.3181
13.4887 6.9750 9.3556
Dy Ga Ru
12 60 16
direct
0.3757 0.2500 0.1680
0.6243 0.7500 0.8320
0.1243 0.7500 0.6680
0.8757 0.2500 0.3320
0.3753 0.2500 0.7483
0.6247 0.7500 0.2517
0.1247 0.7500 0.2483
0.8753 0.2500 0.7517
0.1259 0.2500 0.5245
0.8741 0.7500 0.4755
0.3741 0.7500 0.0245
0.6259 0.2500 0.9755
0.1267 0.0606 0.2528
0.8733 0.9394 0.7472
0.3733 0.9394 0.7528
0.8733 0.5606 0.7472
0.6267 0.0606 0.2472
0.1267 0.4394 0.2528
0.6267 0.4394 0.2472
0.3733 0.5606 0.7528
0.0073 0.2500 0.1685
0.9927 0.7500 0.8315
0.4927 0.7500 0.6685
0.5073 0.2500 0.3315
0.1333 0.2500 0.0418
0.8667 0.7500 0.9582
0.3667 0.7500 0.5418
0.6333 0.2500 0.4582
0.3745 0.5775 0.3316
0.6255 0.4225 0.6684
0.1255 0.4225 0.8316
0.6255 0.0775 0.6684
0.8745 0.5775 0.1684
0.3745 0.9225 0.3316
0.8745 0.9225 0.1684
0.1255 0.0775 0.8316
0.2208 0.2500 0.3594
0.7792 0.7500 0.6406
0.2792 0.7500 0.8594
0.7208 0.2500 0.1406
0.1240 0.0872 0.6718
0.8760 0.9128 0.3282
0.3760 0.9128 0.1718
0.8760 0.5871 0.3282
0.6240 0.0872 0.8282
0.1240 0.4128 0.6718
0.6240 0.4128 0.8282
0.3760 0.5871 0.1718
0.3776 0.0611 0.4653
0.6224 0.9389 0.5347
0.1224 0.9389 0.9653
0.6224 0.5611 0.5347
0.8776 0.0611 0.0347
0.3776 0.4389 0.4653
0.8776 0.4389 0.0347
0.1224 0.5611 0.9653
0.4509 0.2500 0.5777
0.5491 0.7500 0.4223
0.0491 0.7500 0.0777
0.9509 0.2500 0.9223
0.3046 0.2500 0.9180
0.6954 0.7500 0.0820
0.1954 0.7500 0.4180
0.8046 0.2500 0.5820
0.3737 0.0690 0.0328
0.6263 0.9310 0.9672
0.1263 0.9310 0.5328
0.6263 0.5690 0.9672
0.8737 0.0690 0.4672
0.3737 0.4310 0.0328
0.8737 0.4310 0.4672
0.1263 0.5690 0.5328
0.1173 0.0037 0.3903
0.8827 0.9963 0.6097
0.3827 0.9963 0.8903
0.8827 0.5037 0.6097
0.6173 0.0037 0.1097
0.1173 0.4963 0.3903
0.6173 0.4963 0.1097
0.3827 0.5037 0.8903
0.1304 0.0046 0.1135
0.8696 0.9954 0.8865
0.3696 0.9954 0.6135
0.8696 0.5046 0.8865
0.6304 0.0046 0.3865
0.1304 0.4954 0.1135
0.6304 0.4954 0.3865
0.3696 0.5046 0.6135
```

## Properties
Total magnetic moment in μB/cell: 0.28
DFT formation energy in eV per formula unit: -11.41



A plane-wave DFT calculation with GGA-PBE was carried out for crystalline Dy3GaS6 at its relaxed geometry.

Geometry as POSCAR:
```
Dy3GaS6
1.0
5.3453 -6.6540 0.0000
5.3453 6.6540 0.0000
0.0000 0.0000 6.4793
Dy Ga S
6 2 12
direct
0.2842 0.0854 0.2246
0.9146 0.7158 0.2246
0.7158 0.9146 0.7246
0.0854 0.2842 0.7246
0.4007 0.5993 0.1410
0.5993 0.4007 0.6410
0.2010 0.7990 0.7619
0.7990 0.2010 0.2619
0.5675 0.0999 0.4413
0.9001 0.4325 0.4413
0.4325 0.9001 0.9413
0.0999 0.5675 0.9413
0.6345 0.6896 0.4327
0.3104 0.3655 0.4327
0.3655 0.3104 0.9327
0.6896 0.6345 0.9327
0.2182 0.7818 0.4108
0.7818 0.2182 0.9108
0.9604 0.0396 0.4041
0.0396 0.9604 0.9041
```

## Properties
DFT formation energy in eV per formula unit: -20.33



Number 1: DFT total energy -4.51 eV/atom, volume 15.55 A^3/atom. Number 2: DFT total energy -5.76 eV/atom, volume 20.27 A^3/atom. Number 3: DFT total energy -5.21 eV/atom, volume 23.38 A^3/atom. Number 4: DFT total energy -7.22 eV/atom, volume 11.35 A^3/atom. Number 5: DFT total energy -7.24 eV/atom, volume 12.68 A^3/atom. Number 6: DFT total energy -4.14 eV/atom, volume 19.08 A^3/atom. Number 7: DFT total energy -4.33 eV/atom, volume 18.46 A^3/atom. Number 8: DFT total energy -4.48 eV/atom, volume 18.55 A^3/atom. Number 9: DFT total energy -4.21 eV/atom, volume 18.95 A^3/atom. Number 10: DFT total energy -4.89 eV/atom, volume 16.89 A^3/atom. Number 11: DFT total energy -4.90 eV/atom, volume 17.27 A^3/atom. Number 12: DFT total energy -5.90 eV/atom, volume 23.05 A^3/atom.